The following is a DFT calculation (meta-GGA r2SCAN) of an optimized crystal structure of Y2InAu2. Values from VASP.

Computed properties:
Electronic total energy   -33.79 eV/atom

Geometry as Quantum ESPRESSO input:
```
&SYSTEM
  ibrav = 0, nat = 10, ntyp = 3
/
ATOMIC_SPECIES
Au 196.97 Au.upf
Y 88.91 Y.upf
In 114.82 In.upf
CELL_PARAMETERS angstrom
7.822 0.000 0.000
0.000 7.822 0.000
0.000 0.000 3.827
ATOMIC_POSITIONS crystal
Au 0.129 0.629 0.000
Au 0.871 0.371 0.000
Au 0.371 0.129 0.000
Au 0.629 0.871 0.000
Y 0.670 0.170 0.500
Y 0.170 0.330 0.500
Y 0.830 0.670 0.500
Y 0.330 0.830 0.500
In 0.000 0.000 0.000
In 0.500 0.500 0.000
```